No. 1
# CsSbSe2, relaxed, DFT PBE
# **Final energy**: -59.36 eV/cell
# **Total energy after the MP2020 corrections**: -15.784 eV per formula unit
# **Space group**: P2_1/c
data_CsSbSe2
_chemical_formula_sum 'Cs4 Sb4 Se8'
_symmetry_space_group_name_H-M 'P 1'
_symmetry_Int_Tables_number 1
_cell_length_a 8.0709
_cell_length_b 10.2635
_cell_length_c 7.5901
_cell_angle_alpha 90.00
_cell_angle_beta 102.48
_cell_angle_gamma 90.00
loop_
_symmetry_equiv_pos_as_xyz
'x,y,z'
loop_
_atom_site_label
_atom_site_type_symbol
_atom_site_fract_x
_atom_site_fract_y
_atom_site_fract_z
Cs1 Cs 0.1541 0.0635 0.2860
Cs2 Cs 0.1541 0.4365 0.7860
Cs3 Cs 0.8459 0.5635 0.2140
Cs4 Cs 0.8459 0.9365 0.7140
Sb1 Sb 0.4111 0.6651 0.3648
Sb2 Sb 0.4111 0.8349 0.8648
Sb3 Sb 0.5889 0.1651 0.1352
Sb4 Sb 0.5889 0.3349 0.6352
Se1 Se 0.1889 0.7484 0.5442
Se2 Se 0.1889 0.7516 0.0442
Se3 Se 0.3240 0.0751 0.8029
Se4 Se 0.3240 0.4249 0.3029
Se5 Se 0.6760 0.5751 0.6971
Se6 Se 0.6760 0.9249 0.1971
Se7 Se 0.8111 0.2484 0.9558
Se8 Se 0.8111 0.2516 0.4558

No. 2
# ZnH16C6N6O10, relaxed, DFT PBE
# **Final energy**: -479.80 eV/cell
# **Total energy after the MP2020 corrections**: -246.770 eV per formula unit
# **Space group**: C2/c
data_ZnH16C6N6O10
_chemical_formula_sum 'Zn2 H32 C12 N12 O20'
_symmetry_space_group_name_H-M 'P 1'
_symmetry_Int_Tables_number 1
_cell_length_a 8.8377
_cell_length_b 8.8377
_cell_length_c 11.3419
_cell_angle_alpha 111.00
_cell_angle_beta 111.00
_cell_angle_gamma 70.15
loop_
_symmetry_equiv_pos_as_xyz
'x,y,z'
loop_
_atom_site_label
_atom_site_type_symbol
_atom_site_fract_x
_atom_site_fract_y
_atom_site_fract_z
Zn1 Zn 0.1713 0.8287 0.7500
Zn2 Zn 0.8287 0.1713 0.2500
H1 H 0.0048 0.7605 0.0843
H2 H 0.0251 0.3691 0.2716
H3 H 0.0311 0.6816 0.2129
H4 H 0.0717 0.1966 0.1681
H5 H 0.1797 0.6076 0.9383
H6 H 0.1966 0.0717 0.6681
H7 H 0.2395 0.9952 0.4157
H8 H 0.2479 0.4547 0.2562
H9 H 0.3184 0.9689 0.2871
H10 H 0.3398 0.4365 0.9746
H11 H 0.3612 0.3924 0.6593
H12 H 0.3691 0.0251 0.7716
H13 H 0.3924 0.3612 0.1593
H14 H 0.3924 0.8203 0.5617
H15 H 0.4365 0.3398 0.4746
H16 H 0.4547 0.2479 0.7562
H17 H 0.5453 0.7521 0.2438
H18 H 0.5635 0.6602 0.5254
H19 H 0.6076 0.1797 0.4383
H20 H 0.6076 0.6388 0.8407
H21 H 0.6309 0.9749 0.2284
H22 H 0.6388 0.6076 0.3407
H23 H 0.6602 0.5635 0.0254
H24 H 0.6816 0.0311 0.7129
H25 H 0.7521 0.5453 0.7438
H26 H 0.7605 0.0048 0.5843
H27 H 0.8034 0.9283 0.3319
H28 H 0.8203 0.3924 0.0617
H29 H 0.9283 0.8034 0.8319
H30 H 0.9689 0.3184 0.7871
H31 H 0.9749 0.6309 0.7284
H32 H 0.9952 0.2395 0.9157
C1 C 0.0130 0.7474 0.4739
C2 C 0.1580 0.5910 0.4971
C3 C 0.2010 0.5524 0.1047
C4 C 0.2526 0.9870 0.0261
C5 C 0.4090 0.8420 0.0029
C6 C 0.4476 0.7990 0.3953
C7 C 0.5524 0.2010 0.6047
C8 C 0.5910 0.1580 0.9971
C9 C 0.7474 0.0130 0.9739
C10 C 0.7990 0.4476 0.8953
C11 C 0.8420 0.4090 0.5029
C12 C 0.9870 0.2526 0.5261
N1 N 0.0657 0.6681 0.1316
N2 N 0.2589 0.5460 0.0074
N3 N 0.2817 0.4413 0.1749
N4 N 0.3319 0.9343 0.3684
N5 N 0.4413 0.2817 0.6749
N6 N 0.4540 0.7411 0.4926
N7 N 0.5460 0.2589 0.5074
N8 N 0.5587 0.7183 0.3251
N9 N 0.6681 0.0657 0.6316
N10 N 0.7183 0.5587 0.8251
N11 N 0.7411 0.4540 0.9926
N12 N 0.9343 0.3319 0.8684
O1 O 0.0204 0.1419 0.4235
O2 O 0.0264 0.7164 0.8020
O3 O 0.0602 0.2460 0.6425
O4 O 0.1419 0.0204 0.9235
O5 O 0.1845 0.4683 0.4008
O6 O 0.2422 0.5983 0.6163
O7 O 0.2460 0.0602 0.1425
O8 O 0.2836 0.9736 0.6980
O9 O 0.4017 0.7578 0.8837
O10 O 0.4683 0.1845 0.9008
O11 O 0.5317 0.8155 0.0992
O12 O 0.5983 0.2422 0.1163
O13 O 0.7164 0.0264 0.3020
O14 O 0.7540 0.9398 0.8575
O15 O 0.7578 0.4017 0.3837
O16 O 0.8155 0.5317 0.5992
O17 O 0.8581 0.9796 0.0765
O18 O 0.9398 0.7540 0.3575
O19 O 0.9736 0.2836 0.1980
O20 O 0.9796 0.8581 0.5765

No. 3
# Li4TiO4, relaxed, DFT PBE
# **Final energy**: -449.93 eV/cell
# **Total energy after the MP2020 corrections**: -58.989 eV per formula unit
# **Space group**: P1
data_Li4TiO4
_chemical_formula_sum 'Li32 Ti8 O32'
_symmetry_space_group_name_H-M 'P 1'
_symmetry_Int_Tables_number 1
_cell_length_a 9.2678
_cell_length_b 9.4244
_cell_length_c 9.4268
_cell_angle_alpha 89.62
_cell_angle_beta 89.41
_cell_angle_gamma 89.51
loop_
_symmetry_equiv_pos_as_xyz
'x,y,z'
loop_
_atom_site_label
_atom_site_type_symbol
_atom_site_fract_x
_atom_site_fract_y
_atom_site_fract_z
Li1 Li 0.0000 0.0000 0.0000
Li2 Li 0.9998 0.4947 0.7786
Li3 Li 0.0555 0.0581 0.2815
Li4 Li 0.1823 0.4651 0.2457
Li5 Li 0.2045 0.9846 0.5360
Li6 Li 0.2072 0.7089 0.5113
Li7 Li 0.2517 0.4681 0.7517
Li8 Li 0.2555 0.9762 0.0341
Li9 Li 0.2735 0.2720 0.5083
Li10 Li 0.2782 0.7685 0.2629
Li11 Li 0.4150 0.0331 0.7442
Li12 Li 0.4285 0.5244 0.0424
Li13 Li 0.4763 0.3004 0.2637
Li14 Li 0.4919 0.8045 0.5381
Li15 Li 0.4977 0.2719 0.7975
Li16 Li 0.5033 0.7714 0.0047
Li17 Li 0.5230 0.0332 0.0249
Li18 Li 0.5251 0.5359 0.7706
Li19 Li 0.5482 0.2440 0.5311
Li20 Li 0.5521 0.7429 0.2687
Li21 Li 0.7030 0.2416 0.0310
Li22 Li 0.7077 0.7413 0.7645
Li23 Li 0.7532 0.5336 0.2687
Li24 Li 0.7607 0.7814 0.5031
Li25 Li 0.7625 0.2772 0.2889
Li26 Li 0.7682 0.0376 0.5208
Li27 Li 0.7697 0.2945 0.7612
Li28 Li 0.7808 0.7960 0.0351
Li29 Li 0.7888 0.0167 0.2581
Li30 Li 0.8194 0.5302 0.5345
Li31 Li 0.9753 0.2739 0.0070
Li32 Li 0.9802 0.7757 0.7826
Ti1 Ti 0.0015 0.2660 0.5121
Ti2 Ti 0.2529 0.2592 0.0084
Ti3 Ti 0.2590 0.7613 0.7951
Ti4 Ti 0.5022 0.0219 0.3003
Ti5 Ti 0.5075 0.5249 0.4974
Ti6 Ti 0.7386 0.0177 0.7980
Ti7 Ti 0.7403 0.5178 0.9946
Ti8 Ti 0.9993 0.7603 0.2784
O1 O 0.1229 0.3748 0.4120
O2 O 0.1263 0.1366 0.0962
O3 O 0.1261 0.8672 0.3858
O4 O 0.1278 0.6507 0.1924
O5 O 0.1307 0.1555 0.5988
O6 O 0.1383 0.6429 0.7002
O7 O 0.1407 0.3702 0.8967
O8 O 0.1411 0.8723 0.9001
O9 O 0.3415 0.8712 0.6524
O10 O 0.3436 0.3732 0.1360
O11 O 0.3879 0.1407 0.9160
O12 O 0.3970 0.6479 0.8841
O13 O 0.4030 0.6607 0.4032
O14 O 0.4098 0.1484 0.4105
O15 O 0.4187 0.9005 0.1663
O16 O 0.4218 0.4047 0.6308
O17 O 0.6178 0.1352 0.1879
O18 O 0.6191 0.4076 0.3864
O19 O 0.6250 0.6369 0.6065
O20 O 0.6261 0.4001 0.8903
O21 O 0.6270 0.1367 0.6865
O22 O 0.6287 0.9100 0.4014
O23 O 0.6317 0.6362 0.1108
O24 O 0.6320 0.8976 0.9096
O25 O 0.8243 0.3913 0.1164
O26 O 0.8255 0.8934 0.6743
O27 O 0.8415 0.1373 0.9089
O28 O 0.8461 0.6379 0.8827
O29 O 0.8603 0.6591 0.3812
O30 O 0.8827 0.1490 0.3914
O31 O 0.8954 0.3811 0.6383
O32 O 0.9088 0.8922 0.1575

For the records above, the corresponding energy of formation values read -0.942; -0.932; -2.630 eV per atom.